1.
Computed, not measured: a relaxed Li7Mn5O12 crystal at the GGA+U level of DFT.

Values from the calculation:
- space group = No. 2
- excess energy over the best structure of this formula in the dataset (meV/atom) = 34.8

POSCAR file:
```
Li7Mn5O12
1.0
-2.821 0.519 -0.846
-0.296 -4.533 2.326
-1.244 8.356 12.534
Li Mn O
7 5 12
Direct
0.018 0.264 0.750
0.664 0.415 0.916
0.336 0.585 0.084
0.982 0.736 0.250
0.706 0.930 0.428
0.294 0.070 0.572
0.000 0.500 0.500
0.656 0.665 0.660
0.344 0.335 0.340
0.318 0.825 0.832
0.000 0.000 0.000
0.682 0.175 0.168
0.283 0.920 0.708
0.019 0.109 0.878
0.696 0.280 0.046
0.367 0.446 0.214
0.952 0.581 0.370
0.677 0.796 0.552
0.633 0.554 0.786
0.304 0.720 0.954
0.981 0.891 0.122
0.717 0.080 0.292
0.323 0.204 0.448
0.048 0.419 0.630
```

2.
Computed, not measured: a relaxed RbCrH24S2O20 crystal at the GGA+U level of DFT.

Values from the calculation:
- space group = No. 205
- DFT total energy (eV per cell) = -1019.943

POSCAR file:
```
RbCrH24S2O20
1.0
-11.958 2.070 -2.547
-0.576 -10.797 -6.071
-3.232 -5.737 10.508
Rb Cr H S O
4 4 96 8 80
Direct
0.000 0.500 0.500
0.500 0.500 0.000
0.500 0.000 0.500
0.000 0.000 0.000
0.500 0.000 0.000
0.000 0.000 0.500
0.000 0.500 0.000
0.500 0.500 0.500
0.790 0.475 0.052
0.290 0.025 0.948
0.210 0.975 0.448
0.025 0.948 0.290
0.448 0.210 0.975
0.948 0.290 0.025
0.475 0.052 0.790
0.052 0.790 0.475
0.975 0.448 0.210
0.525 0.552 0.710
0.552 0.710 0.525
0.710 0.525 0.552
0.210 0.525 0.948
0.710 0.975 0.052
0.790 0.025 0.552
0.975 0.052 0.710
0.552 0.790 0.025
0.052 0.710 0.975
0.525 0.948 0.210
0.948 0.210 0.525
0.025 0.552 0.790
0.475 0.448 0.290
0.448 0.290 0.475
0.290 0.475 0.448
0.807 0.463 0.920
0.307 0.037 0.080
0.193 0.963 0.580
0.037 0.080 0.307
0.580 0.193 0.963
0.080 0.307 0.037
0.463 0.920 0.807
0.920 0.807 0.463
0.963 0.580 0.193
0.537 0.420 0.693
0.420 0.693 0.537
0.693 0.537 0.420
0.193 0.537 0.080
0.693 0.963 0.920
0.807 0.037 0.420
0.963 0.920 0.693
0.420 0.807 0.037
0.920 0.693 0.963
0.537 0.080 0.193
0.080 0.193 0.537
0.037 0.420 0.807
0.463 0.580 0.307
0.580 0.307 0.463
0.826 0.215 0.119
0.298 0.220 0.504
0.798 0.280 0.496
0.702 0.720 0.996
0.280 0.496 0.798
0.996 0.702 0.720
0.496 0.798 0.280
0.220 0.504 0.298
0.504 0.298 0.220
0.720 0.996 0.702
0.780 0.004 0.202
0.004 0.202 0.780
0.202 0.780 0.004
0.702 0.780 0.496
0.202 0.720 0.504
0.298 0.280 0.004
0.720 0.504 0.202
0.004 0.298 0.280
0.504 0.202 0.720
0.780 0.496 0.702
0.496 0.702 0.780
0.280 0.004 0.298
0.220 0.996 0.798
0.996 0.798 0.220
0.798 0.220 0.996
0.326 0.215 0.381
0.826 0.285 0.619
0.674 0.715 0.119
0.285 0.619 0.826
0.119 0.674 0.715
0.619 0.826 0.285
0.215 0.381 0.326
0.381 0.326 0.215
0.715 0.119 0.674
0.785 0.881 0.174
0.881 0.174 0.785
0.174 0.785 0.881
0.674 0.785 0.619
0.174 0.715 0.381
0.326 0.285 0.881
0.715 0.381 0.174
0.881 0.326 0.285
0.381 0.174 0.715
0.785 0.619 0.674
0.619 0.674 0.785
0.285 0.881 0.326
0.215 0.119 0.826
0.119 0.826 0.215
0.307 0.463 0.580
0.190 0.310 0.690
0.310 0.690 0.190
0.690 0.190 0.310
0.810 0.810 0.810
0.810 0.690 0.310
0.690 0.310 0.810
0.310 0.810 0.690
0.190 0.190 0.190
0.840 0.492 0.988
0.340 0.008 0.012
0.160 0.992 0.512
0.008 0.012 0.340
0.512 0.160 0.992
0.012 0.340 0.008
0.492 0.988 0.840
0.988 0.840 0.492
0.992 0.512 0.160
0.508 0.488 0.660
0.488 0.660 0.508
0.660 0.508 0.488
0.160 0.508 0.012
0.660 0.992 0.988
0.840 0.008 0.488
0.992 0.988 0.660
0.488 0.840 0.008
0.988 0.660 0.992
0.508 0.012 0.160
0.012 0.160 0.508
0.008 0.488 0.840
0.492 0.512 0.340
0.512 0.340 0.492
0.340 0.492 0.512
0.358 0.204 0.453
0.858 0.296 0.547
0.642 0.704 0.047
0.296 0.547 0.858
0.047 0.642 0.704
0.547 0.858 0.296
0.204 0.453 0.358
0.453 0.358 0.204
0.704 0.047 0.642
0.796 0.953 0.142
0.953 0.142 0.796
0.142 0.796 0.953
0.642 0.796 0.547
0.142 0.704 0.453
0.358 0.296 0.953
0.704 0.453 0.142
0.953 0.358 0.296
0.453 0.142 0.704
0.796 0.547 0.642
0.547 0.642 0.796
0.296 0.953 0.358
0.204 0.047 0.858
0.047 0.858 0.204
0.858 0.204 0.047
0.579 0.186 0.264
0.079 0.314 0.736
0.421 0.686 0.236
0.314 0.736 0.079
0.236 0.421 0.686
0.736 0.079 0.314
0.186 0.264 0.579
0.264 0.579 0.186
0.686 0.236 0.421
0.814 0.764 0.921
0.764 0.921 0.814
0.921 0.814 0.764
0.421 0.814 0.736
0.921 0.686 0.264
0.579 0.314 0.764
0.686 0.264 0.921
0.764 0.579 0.314
0.264 0.921 0.686
0.814 0.736 0.421
0.736 0.421 0.814
0.314 0.764 0.579
0.186 0.236 0.079
0.236 0.079 0.186
0.079 0.186 0.236
0.260 0.260 0.260
0.240 0.760 0.260
0.760 0.260 0.240
0.740 0.740 0.740
0.740 0.760 0.240
0.760 0.240 0.740
0.240 0.740 0.760
0.260 0.240 0.760
```

3.
Computed, not measured: a relaxed Sr3TaCoO7 crystal at the GGA+U level of DFT.

Values from the calculation:
- space group = No. 1
- excess energy over the best structure of this formula in the dataset (meV/atom) = 20.7

POSCAR file:
```
Sr3TaCoO7
1.0
3.969 -0.001 0.002
-0.003 15.772 0.001
1.991 -1.971 10.799
Sr Ta Co O
12 4 4 28
Direct
0.518 0.371 0.959
0.521 0.618 0.961
0.526 0.872 0.960
0.524 0.119 0.961
0.308 0.173 0.384
0.307 0.422 0.383
0.306 0.674 0.385
0.309 0.923 0.383
0.677 0.327 0.635
0.684 0.574 0.633
0.687 0.834 0.634
0.684 0.083 0.634
0.902 0.274 0.195
0.900 0.525 0.198
0.903 0.774 0.196
0.902 0.025 0.198
0.124 0.721 0.783
0.111 0.975 0.784
0.104 0.224 0.791
0.107 0.472 0.784
0.201 0.199 0.602
0.198 0.452 0.601
0.178 0.701 0.608
0.201 0.948 0.601
0.804 0.299 0.389
0.802 0.550 0.392
0.803 0.798 0.391
0.805 0.049 0.390
0.991 0.252 0.017
0.988 0.505 0.021
0.989 0.751 0.018
0.991 0.002 0.020
0.598 0.226 0.807
0.596 0.476 0.806
0.589 0.727 0.809
0.601 0.975 0.803
0.095 0.356 0.807
0.098 0.597 0.804
0.101 0.856 0.805
0.099 0.095 0.808
0.397 0.276 0.205
0.394 0.527 0.209
0.396 0.776 0.207
0.397 0.026 0.207
0.896 0.151 0.207
0.896 0.401 0.207
0.895 0.651 0.210
0.896 0.901 0.208
```

4.
Computed, not measured: a relaxed FeSb4O12 crystal at the GGA+U level of DFT.

Values from the calculation:
- space group = No. 1
- DFT total energy (eV per cell) = -101.780

POSCAR file:
```
FeSb4O12
1.0
-4.814 2.549 0.615
-8.909 -4.749 4.356
-6.582 -1.018 7.056
Fe Sb O
1 4 12
Direct
0.299 0.997 0.285
0.013 0.006 0.969
0.964 0.497 0.008
0.491 0.993 0.506
0.484 0.503 0.482
0.349 0.284 0.130
0.242 0.144 0.591
0.104 0.319 0.737
0.887 0.179 0.232
0.378 0.819 0.099
0.738 0.359 0.384
0.221 0.643 0.600
0.601 0.185 0.871
0.125 0.827 0.699
0.865 0.690 0.233
0.702 0.891 0.345
0.595 0.666 0.887
```

What did the third record say?
Computed, not measured: a relaxed Sr3TaCoO7 crystal at the GGA+U level of DFT.

Values from the calculation:
- space group = No. 1
- excess energy over the best structure of this formula in the dataset (meV/atom) = 20.7

POSCAR file:
```
Sr3TaCoO7
1.0
3.969 -0.001 0.002
-0.003 15.772 0.001
1.991 -1.971 10.799
Sr Ta Co O
12 4 4 28
Direct
0.518 0.371 0.959
0.521 0.618 0.961
0.526 0.872 0.960
0.524 0.119 0.961
0.308 0.173 0.384
0.307 0.422 0.383
0.306 0.674 0.385
0.309 0.923 0.383
0.677 0.327 0.635
0.684 0.574 0.633
0.687 0.834 0.634
0.684 0.083 0.634
0.902 0.274 0.195
0.900 0.525 0.198
0.903 0.774 0.196
0.902 0.025 0.198
0.124 0.721 0.783
0.111 0.975 0.784
0.104 0.224 0.791
0.107 0.472 0.784
0.201 0.199 0.602
0.198 0.452 0.601
0.178 0.701 0.608
0.201 0.948 0.601
0.804 0.299 0.389
0.802 0.550 0.392
0.803 0.798 0.391
0.805 0.049 0.390
0.991 0.252 0.017
0.988 0.505 0.021
0.989 0.751 0.018
0.991 0.002 0.020
0.598 0.226 0.807
0.596 0.476 0.806
0.589 0.727 0.809
0.601 0.975 0.803
0.095 0.356 0.807
0.098 0.597 0.804
0.101 0.856 0.805
0.099 0.095 0.808
0.397 0.276 0.205
0.394 0.527 0.209
0.396 0.776 0.207
0.397 0.026 0.207
0.896 0.151 0.207
0.896 0.401 0.207
0.895 0.651 0.210
0.896 0.901 0.208
```